# K11Np2H9S10O44, optimized geometry, DFT PBE
data_K11Np2H9S10O44
_cell_length_a 14.303
_cell_length_b 8.472
_cell_length_c 19.191
_cell_angle_alpha 90.00
_cell_angle_beta 107.37
_cell_angle_gamma 90.00
_symmetry_space_group_name_H-M 'P 1 21/c 1'
_symmetry_Int_Tables_number 14
loop_
_symmetry_equiv_pos_as_xyz
'x,y,z'
'-x,-y,-z'
'-x,y+1/2,-z+1/2'
'x,-y+1/2,z+1/2'
loop_
_atom_site_label
_atom_site_type_symbol
_atom_site_fract_x
_atom_site_fract_y
_atom_site_fract_z
K1 K 0.000 0.000 0.000
K2 K 0.060 0.106 0.794
K3 K 0.094 0.642 0.928
K4 K 0.322 0.630 0.637
K5 K 0.339 0.586 0.318
K6 K 0.385 0.114 0.354
Np1 Np 0.264 0.136 0.600
H1 H 0.123 0.714 0.256
H2 H 0.182 0.640 0.793
H3 H 0.429 0.127 0.041
H4 H 0.478 0.700 0.483
H5 H 0.500 0.000 0.000
S1 S 0.110 0.610 0.121
S2 S 0.165 0.145 0.190
S3 S 0.229 0.140 0.962
S4 S 0.354 0.587 0.006
S5 S 0.460 0.153 0.719
O1 O 0.047 0.595 0.169
O2 O 0.062 0.151 0.189
O3 O 0.087 0.746 0.576
O4 O 0.097 0.034 0.571
O5 O 0.151 0.737 0.804
O6 O 0.158 0.010 0.948
O7 O 0.173 0.129 0.113
O8 O 0.180 0.208 0.476
O9 O 0.216 0.200 0.715
O10 O 0.217 0.605 0.165
O11 O 0.219 0.014 0.235
O12 O 0.269 0.159 0.900
O13 O 0.269 0.613 0.038
O14 O 0.310 0.117 0.034
O15 O 0.320 0.605 0.927
O16 O 0.385 0.079 0.530
O17 O 0.399 0.213 0.176
O18 O 0.400 0.009 0.685
O19 O 0.434 0.700 0.040
O20 O 0.442 0.650 0.792
O21 O 0.467 0.158 0.797
O22 O 0.500 0.108 0.042
# Crystal system: monoclinic
# Mass density: 2.9 g/cm3
# Formation energy: -2122 meV per atom
# Uncorrected energy: -6.037 eV per atom